1.
Compound: KTcO3
Source: the Materials Project database
Functional: PBE
Structure: relaxed

```
5
Lattice="3.9336 0.0000 0.0000 0.0000 3.9336 0.0000 0.0000 0.0000 3.9336" Properties=species:S:1:pos:R:3 pbc="T T T"
K 0.0000 0.0000 0.0000
Tc 1.9668 1.9668 1.9668
O 0.0000 1.9668 1.9668
O 1.9668 0.0000 1.9668
O 1.9668 1.9668 0.0000
```

Summary:
Its space group is No. 221. The value obtained for the formation energy is -1.9867 eV/atom.

2.
Compound: Ag4SeI2O4
Source: the Materials Project database
Functional: PBE
Structure: relaxed

```
44
Lattice="9.5266 0.0000 0.0000 0.0000 13.2416 0.0000 0.0000 0.0000 7.2818" Properties=species:S:1:pos:R:3 pbc="T T T"
Ag 0.1796 0.2120 0.0000
Ag 0.3993 10.0458 6.0334
Ag 1.1880 5.5239 5.4286
Ag 2.2524 2.5552 6.5105
Ag 2.5109 9.1760 2.8696
Ag 3.5753 12.1447 1.7876
Ag 4.3640 3.4250 2.3925
Ag 4.5837 6.8329 3.6409
Ag 4.9429 6.4088 0.0000
Ag 5.1626 9.8167 6.0334
Ag 5.9513 1.0970 5.4286
Ag 7.0157 4.0656 6.5105
Ag 7.2742 10.6865 2.8696
Ag 8.3386 7.7178 1.7876
Ag 9.1273 3.1958 2.3925
Ag 9.3470 13.0296 3.6409
Se 1.7468 5.6825 1.7718
Se 3.0165 12.3033 5.4127
Se 6.5101 0.9384 1.7718
Se 7.7797 7.5592 5.4127
I 0.4108 10.7843 1.7125
I 2.2255 1.4710 1.8971
I 2.5378 8.0918 5.5380
I 4.3525 4.1635 5.3534
I 5.1741 9.0781 1.7125
I 6.9888 5.1498 1.8971
I 7.3011 11.7706 5.5380
I 9.1157 2.4573 5.3534
O 1.1697 4.8393 0.4385
O 1.1852 4.8686 3.1422
O 1.2736 7.2910 1.7639
O 1.2931 12.2418 5.4372
O 3.4702 5.6210 1.7963
O 3.4897 0.6702 5.4048
O 3.5781 11.4894 6.7831
O 3.5936 11.4601 4.0794
O 5.9330 1.7815 0.4385
O 5.9484 1.7522 3.1422
O 6.0369 12.5715 1.7639
O 6.0564 7.6207 5.4372
O 8.2335 0.9999 1.7963
O 8.2530 5.9507 5.4048
O 8.3414 8.3730 6.7831
O 8.3569 8.4023 4.0794
```

Summary:
Its total magnetization is 0.00 μB per cell. Its space group is No. 33. The value obtained for the formation energy is -0.6210 eV/atom.

3.
Compound: Hf4V
Source: the Materials Project database
Functional: PBE
Structure: relaxed

```
10
Lattice="0.0000 4.8589 4.8589 4.8589 0.0000 4.8589 4.8589 4.8589 0.0000" Properties=species:S:1:pos:R:3 pbc="T T T"
Hf 7.4697 4.6776 4.6776
Hf 2.2481 2.2481 2.2481
Hf 5.0402 5.0402 2.2481
Hf 5.0402 2.2481 5.0402
Hf 4.6776 7.4697 4.6776
Hf 4.6776 4.6776 7.4697
Hf 7.4697 7.4697 7.4697
Hf 2.2481 5.0402 5.0402
V 3.6442 3.6442 3.6442
V 6.0736 6.0736 6.0736
```

Summary:
Its total magnetization is 3.72 μB per cell. Its space group is No. 227. The value obtained for the formation energy is 0.9410 eV/atom.

4.
Compound: PtRhBr4N5Cl
Source: the Materials Project database
Functional: PBE
Structure: relaxed

```
48
Lattice="16.5589 0.0000 0.0000 0.0000 9.6719 0.0000 0.0000 0.0000 7.7026" Properties=species:S:1:pos:R:3 pbc="T T T"
Pt 4.1024 2.4180 0.6819
Pt 4.1771 7.2539 4.5332
Pt 12.3818 2.4180 3.1694
Pt 12.4566 7.2539 7.0207
Rh 2.3840 7.2539 1.4017
Rh 5.8955 2.4180 5.2530
Rh 10.6634 7.2539 2.4496
Rh 14.1750 2.4180 6.3009
Br 0.2451 7.2539 3.2932
Br 2.5222 2.4180 2.5327
Br 3.6978 0.0118 5.0286
Br 3.6978 4.8241 5.0286
Br 4.5816 4.8478 1.1773
Br 4.5816 9.6600 1.1773
Br 5.7573 7.2539 6.3840
Br 8.0344 2.4180 7.1445
Br 8.5246 7.2539 0.5582
Br 10.8017 2.4180 1.3186
Br 11.9773 0.0118 6.5253
Br 11.9773 4.8241 6.5253
Br 12.8611 4.8478 2.6740
Br 12.8611 9.6600 2.6740
Br 14.0367 7.2539 5.1699
Br 16.3139 2.4180 4.4095
N 1.0359 5.8838 2.5748
N 1.0359 8.6240 2.5748
N 3.0102 5.6761 0.5361
N 3.0102 8.8317 0.5361
N 3.5950 7.2539 2.8135
N 4.6844 2.4180 6.6648
N 5.2693 0.8402 4.3874
N 5.2693 3.9958 4.3874
N 7.2435 1.0479 6.4261
N 7.2435 3.7881 6.4261
N 9.3154 5.8838 1.2765
N 9.3154 8.6240 1.2765
N 11.2897 5.6761 3.3152
N 11.2897 8.8317 3.3152
N 11.8745 7.2539 1.0378
N 12.9639 2.4180 4.8892
N 13.5488 0.8402 7.1665
N 13.5488 3.9958 7.1665
N 15.5230 1.0479 5.1278
N 15.5230 3.7881 5.1278
Cl 0.7110 7.2539 7.4043
Cl 7.5685 2.4180 3.5530
Cl 8.9904 7.2539 4.1496
Cl 15.8480 2.4180 0.2983
```

Summary:
Its total magnetization is 3.90 μB per cell. Its space group is No. 62. The value obtained for the formation energy is 1.1264 eV/atom.

5.
Compound: DyBr2
Source: the Materials Project database
Functional: PBE
Structure: relaxed

```
6
Lattice="7.2852 0.0000 0.0000 0.0000 7.2852 0.0000 0.0000 0.0000 3.6464" Properties=species:S:1:pos:R:3 pbc="T T T"
Dy 0.0000 0.0000 0.0000
Dy 3.6426 3.6426 1.8232
Br 1.5889 1.5889 1.8232
Br 2.0537 5.2315 0.0000
Br 5.2315 2.0537 0.0000
Br 5.6962 5.6962 1.8232
```

Summary:
Its total magnetization is 0.25 μB per cell. Its space group is No. 136. The value obtained for the formation energy is -1.8802 eV/atom.

6.
Compound: Mn4CrCo10Si5
Source: the Materials Project database
Functional: PBE
Structure: relaxed

```
20
Lattice="1.9943 1.1514 16.2880 -1.9943 1.1514 16.2880 0.0000 -2.3028 16.2880" Properties=species:S:1:pos:R:3 pbc="T T T"
Mn 0.0000 0.0000 4.8859
Mn 0.0000 0.0000 14.6601
Mn 0.0000 0.0000 34.2040
Mn 0.0000 0.0000 43.9782
Cr 0.0000 0.0000 24.4320
Co 0.0000 0.0000 2.4435
Co 0.0000 0.0000 7.3294
Co 0.0000 0.0000 12.2150
Co 0.0000 0.0000 17.1034
Co 0.0000 0.0000 21.9869
Co 0.0000 0.0000 26.8771
Co 0.0000 0.0000 31.7607
Co 0.0000 0.0000 36.6490
Co 0.0000 0.0000 41.5347
Co 0.0000 0.0000 46.4205
Si 0.0000 0.0000 0.0000
Si 0.0000 0.0000 9.7699
Si 0.0000 0.0000 19.5437
Si 0.0000 0.0000 29.3204
Si 0.0000 0.0000 39.0941
```

Summary:
Its total magnetization is 24.00 μB per cell. Its space group is No. 166. The value obtained for the formation energy is -0.4128 eV/atom.

7.
Compound: TaPd
Source: the Materials Project database
Functional: PBE
Structure: relaxed

```
2
Lattice="1.4380 0.8302 4.6675 -1.4380 0.8302 4.6675 0.0000 -1.6604 4.6675" Properties=species:S:1:pos:R:3 pbc="T T T"
Ta 0.0000 0.0000 0.0000
Pd 0.0000 0.0000 7.0012
```

Summary:
Its total magnetization is 0.00 μB per cell. Its space group is No. 166. The value obtained for the formation energy is -0.1448 eV/atom.

8.
Compound: Er2MgIn
Source: the Materials Project database
Functional: PBE
Structure: relaxed

```
4
Lattice="0.0000 3.7284 3.7284 3.7284 0.0000 3.7284 3.7284 3.7284 0.0000" Properties=species:S:1:pos:R:3 pbc="T T T"
Er 1.8642 1.8642 1.8642
Er 5.5927 5.5927 5.5927
Mg 0.0000 0.0000 0.0000
In 3.7284 3.7284 3.7284
```

Summary:
Its space group is No. 225. The value obtained for the formation energy is -0.2968 eV/atom.